# 1
## Lu3NbO7 (PBE)

Data for an optimized crystal structure of Lu3NbO7.

The structure in POSCAR format:
```
Lu3NbO7
1.0
-1.977 5.224 -5.747
-4.329 -6.381 2.187
-2.538 2.936 3.541
Lu Nb O
6 2 14
direct
0.000 0.500 0.000 Lu
0.500 0.000 0.000 Lu
0.622 0.378 0.470 Lu
0.122 0.878 0.530 Lu
0.878 0.122 0.470 Lu
0.378 0.622 0.530 Lu
0.750 0.750 0.000 Nb
0.250 0.250 0.000 Nb
0.750 0.250 0.241 O
0.838 0.590 0.760 O
0.250 0.750 0.759 O
0.986 0.014 0.217 O
0.338 0.090 0.240 O
0.410 0.162 0.760 O
0.090 0.338 0.760 O
0.514 0.486 0.217 O
0.486 0.514 0.783 O
0.910 0.662 0.240 O
0.662 0.910 0.760 O
0.590 0.838 0.240 O
0.014 0.986 0.783 O
0.162 0.410 0.240 O
```

Computed properties:
- Crystal system: orthorhombic
- Space-group type: Cmme (67)
- Energy of formation: -39.67 eV per formula unit


# 2
## Ba8CaY2U4O24 (PBE)

Data for an optimized crystal structure of Ba8CaY2U4O24.

The structure in POSCAR format:
```
Ba8CaY2U4O24
1.0
12.400 0.000 0.000
0.000 12.413 0.000
0.000 0.000 17.633
Ba Ca Y U O
32 4 8 16 96
direct
0.500 0.276 0.116 Ba
0.500 0.276 0.884 Ba
0.772 0.500 0.616 Ba
0.228 0.500 0.384 Ba
0.500 0.724 0.884 Ba
0.500 0.724 0.116 Ba
0.000 0.258 0.618 Ba
0.724 0.000 0.618 Ba
0.000 0.770 0.881 Ba
0.772 0.500 0.384 Ba
0.754 0.000 0.121 Ba
0.754 0.000 0.879 Ba
0.254 0.500 0.117 Ba
0.000 0.742 0.618 Ba
0.276 0.000 0.618 Ba
0.000 0.742 0.382 Ba
0.000 0.258 0.382 Ba
0.500 0.747 0.618 Ba
0.500 0.747 0.382 Ba
0.000 0.230 0.119 Ba
0.254 0.500 0.883 Ba
0.500 0.253 0.382 Ba
0.228 0.500 0.616 Ba
0.500 0.253 0.618 Ba
0.724 0.000 0.382 Ba
0.746 0.500 0.117 Ba
0.246 0.000 0.121 Ba
0.746 0.500 0.883 Ba
0.276 0.000 0.382 Ba
0.000 0.230 0.881 Ba
0.000 0.770 0.119 Ba
0.246 0.000 0.879 Ba
0.500 0.500 0.500 Ca
0.000 0.000 0.500 Ca
0.500 0.000 0.000 Ca
0.000 0.500 0.000 Ca
0.749 0.250 0.250 Y
0.251 0.750 0.250 Y
0.749 0.750 0.250 Y
0.251 0.750 0.750 Y
0.251 0.250 0.750 Y
0.749 0.750 0.750 Y
0.251 0.250 0.250 Y
0.749 0.250 0.750 Y
0.500 0.500 0.747 U
0.000 0.000 0.745 U
0.748 0.751 0.500 U
0.252 0.249 0.500 U
0.500 0.500 0.253 U
0.252 0.751 0.500 U
0.000 0.500 0.751 U
0.000 0.000 0.255 U
0.751 0.252 0.000 U
0.500 0.000 0.756 U
0.751 0.748 0.000 U
0.249 0.748 0.000 U
0.748 0.249 0.500 U
0.500 0.000 0.244 U
0.000 0.500 0.249 U
0.249 0.252 0.000 U
0.382 0.624 0.751 O
0.627 0.634 0.500 O
0.743 0.749 0.377 O
0.625 0.118 0.754 O
0.136 0.376 0.000 O
0.373 0.366 0.500 O
0.375 0.118 0.246 O
0.878 0.380 0.255 O
0.000 0.500 0.636 O
0.130 0.858 0.000 O
0.365 0.866 0.500 O
0.130 0.133 0.500 O
0.121 0.123 0.250 O
0.136 0.624 0.000 O
0.138 0.365 0.500 O
0.500 0.000 0.358 O
0.375 0.118 0.754 O
0.625 0.118 0.246 O
0.864 0.376 0.000 O
0.000 0.500 0.134 O
0.878 0.380 0.745 O
0.500 0.000 0.871 O
0.121 0.123 0.750 O
0.870 0.142 0.000 O
0.122 0.620 0.745 O
0.635 0.134 0.500 O
0.635 0.866 0.500 O
0.000 0.500 0.364 O
0.862 0.365 0.500 O
0.247 0.257 0.123 O
0.625 0.882 0.754 O
0.862 0.635 0.500 O
0.373 0.634 0.500 O
0.618 0.624 0.751 O
0.864 0.624 0.000 O
0.632 0.364 0.000 O
0.753 0.257 0.123 O
0.500 0.500 0.631 O
0.500 0.500 0.862 O
0.500 0.500 0.138 O
0.879 0.877 0.750 O
0.122 0.620 0.255 O
0.375 0.882 0.754 O
0.500 0.000 0.129 O
0.870 0.133 0.500 O
0.138 0.635 0.500 O
0.375 0.882 0.246 O
0.753 0.743 0.877 O
0.636 0.128 0.000 O
0.382 0.376 0.751 O
0.000 0.000 0.631 O
0.618 0.624 0.249 O
0.121 0.877 0.750 O
0.364 0.872 0.000 O
0.247 0.743 0.877 O
0.130 0.142 0.000 O
0.121 0.877 0.250 O
0.122 0.380 0.255 O
0.500 0.500 0.369 O
0.000 0.500 0.866 O
0.368 0.364 0.000 O
0.743 0.251 0.623 O
0.870 0.858 0.000 O
0.632 0.636 0.000 O
0.000 0.000 0.369 O
0.618 0.376 0.751 O
0.000 0.000 0.859 O
0.878 0.620 0.745 O
0.879 0.123 0.750 O
0.130 0.867 0.500 O
0.365 0.134 0.500 O
0.247 0.743 0.123 O
0.743 0.749 0.623 O
0.257 0.251 0.623 O
0.625 0.882 0.246 O
0.870 0.867 0.500 O
0.368 0.636 0.000 O
0.257 0.251 0.377 O
0.743 0.251 0.377 O
0.382 0.624 0.249 O
0.382 0.376 0.249 O
0.247 0.257 0.877 O
0.257 0.749 0.377 O
0.636 0.872 0.000 O
0.879 0.123 0.250 O
0.753 0.257 0.877 O
0.000 0.000 0.141 O
0.364 0.128 0.000 O
0.122 0.380 0.745 O
0.753 0.743 0.123 O
0.879 0.877 0.250 O
0.878 0.620 0.255 O
0.627 0.366 0.500 O
0.618 0.376 0.249 O
0.500 0.000 0.642 O
0.257 0.749 0.623 O
```

Computed properties:
- Crystal system: orthorhombic
- Space-group type: Pmmm (47)
- Energy of formation: -139.24 eV per formula unit
- Relative energy among the computed polymorphs: 2.5 meV/atom


# 3
## NaSc3TaP3S3O24 (PBE)

Data for an optimized crystal structure of NaSc3TaP3S3O24.

The structure in POSCAR format:
```
NaSc3TaP3S3O24
1.0
-2.035 7.093 -4.867
-6.234 -5.901 2.034
-4.796 11.780 19.173
Na Sc Ta P S O
3 9 3 9 9 72
direct
0.001 0.009 0.000 Na
0.675 0.339 0.834 Na
0.664 0.338 0.336 Na
0.998 0.997 0.357 Sc
0.998 0.000 0.854 Sc
0.991 0.000 0.146 Sc
0.672 0.338 0.684 Sc
0.668 0.326 0.980 Sc
0.661 0.333 0.484 Sc
0.334 0.658 0.023 Sc
0.343 0.661 0.311 Sc
0.317 0.660 0.812 Sc
0.003 0.994 0.644 Ta
0.659 0.333 0.184 Ta
0.330 0.657 0.524 Ta
0.714 0.711 0.250 P
0.997 0.710 0.751 P
0.953 0.329 0.583 P
0.379 0.043 0.583 P
0.667 0.623 0.583 P
0.666 0.042 0.082 P
0.373 0.329 0.081 P
0.043 0.376 0.917 P
0.335 0.377 0.416 P
0.290 0.999 0.250 S
0.997 0.291 0.250 S
0.290 0.288 0.750 S
0.711 0.000 0.750 S
0.956 0.623 0.083 S
0.623 0.666 0.916 S
0.332 0.955 0.917 S
0.620 0.955 0.417 S
0.046 0.665 0.416 S
0.219 0.038 0.302 O
0.828 0.790 0.305 O
0.963 0.181 0.302 O
0.208 0.179 0.801 O
0.970 0.799 0.804 O
0.822 0.031 0.802 O
0.802 0.979 0.697 O
0.177 0.200 0.697 O
0.019 0.830 0.696 O
0.798 0.820 0.196 O
0.026 0.212 0.198 O
0.187 0.977 0.197 O
0.881 0.369 0.637 O
0.489 0.119 0.638 O
0.628 0.512 0.637 O
0.865 0.509 0.137 O
0.647 0.144 0.138 O
0.496 0.355 0.138 O
0.464 0.302 0.030 O
0.845 0.544 0.032 O
0.700 0.162 0.030 O
0.452 0.155 0.529 O
0.704 0.550 0.529 O
0.845 0.297 0.529 O
0.545 0.695 0.969 O
0.155 0.463 0.971 O
0.307 0.851 0.969 O
0.532 0.844 0.469 O
0.313 0.475 0.471 O
0.157 0.690 0.470 O
0.128 0.639 0.364 O
0.511 0.876 0.365 O
0.363 0.494 0.363 O
0.129 0.488 0.862 O
0.361 0.877 0.864 O
0.517 0.642 0.864 O
0.031 0.823 0.411 O
0.792 0.969 0.411 O
0.169 0.199 0.409 O
0.023 0.192 0.910 O
0.175 0.975 0.910 O
0.800 0.824 0.911 O
0.984 0.173 0.597 O
0.192 0.018 0.596 O
0.825 0.810 0.596 O
0.973 0.796 0.092 O
0.829 0.026 0.091 O
0.197 0.167 0.093 O
0.693 0.157 0.742 O
0.462 0.303 0.742 O
0.835 0.529 0.742 O
0.692 0.521 0.240 O
0.836 0.309 0.241 O
0.474 0.163 0.241 O
0.642 0.509 0.922 O
0.859 0.358 0.922 O
0.489 0.134 0.922 O
0.641 0.131 0.424 O
0.498 0.360 0.424 O
0.871 0.508 0.424 O
0.363 0.496 0.078 O
0.125 0.636 0.079 O
0.501 0.867 0.077 O
0.350 0.856 0.569 O
0.508 0.651 0.571 O
0.141 0.492 0.571 O
0.315 0.850 0.258 O
0.531 0.685 0.258 O
0.148 0.466 0.258 O
0.306 0.460 0.755 O
0.164 0.700 0.756 O
0.541 0.842 0.756 O
```

Computed properties:
- Crystal system: triclinic
- Space-group type: P1 (1)
- Energy of formation: -98.73 eV per formula unit


# 4
## USbRh (PBE)

Data for an optimized crystal structure of USbRh.

The structure in POSCAR format:
```
USbRh
1.0
2.128 -0.162 -4.097
-0.464 -3.720 -2.698
-2.467 0.265 -3.896
U Sb Rh
1 1 1
direct
0.500 0.500 0.500 U
0.000 0.000 0.000 Sb
0.250 0.250 0.250 Rh
```

Computed properties:
- Crystal system: cubic
- Space-group type: F-43m (216)
- Energy of formation: -1.54 eV per formula unit